Below is a geometry-optimized LiCoPO4 structure, with properties calculated at the PBE with a Hubbard U level.

It has space group Pnma (No. 62), with a = 10.340 Å, b = 6.230 Å, c = 4.722 Å, α = 90.00°, β = 90.00° and γ = 90.00°. Symmetry generates all atoms from Li at (0.215, 0.250, 0.006), Co at (0.000, 0.000, 0.500), P at (0.093, 0.750, 0.083), O at (0.047, 0.250, 0.778), O at (0.086, 0.750, 0.753) and O at (0.158, 0.545, 0.203).

For the energy relative to the lowest polymorph listed for this composition, the calculation gives 0.052 eV/atom. As for the magnetic moment: 0.00 μB per cell. The calculation puts the formation enthalpy at 0 K at -2.36 eV per atom. The value obtained for the total energy is -6.618 eV/atom. As for the crystal system: orthorhombic.